No. 1
{
  "formula": "FeOF",
  "functional": "GGA+U",
  "state": "optimized geometry",
  "formation_enthalpy_0k_kj_per_mol_fu": -586,
  "energy_mp2020_ev_per_cell": -128.41,
  "dft_energy_ry_per_atom": -0.4409,
  "space_group": "P1",
  "lattice": [[4.746, 0.000, 0.000], [0.074, 5.678, 0.000], [0.020, 0.601, 7.762]],
  "species": ["Fe", "Fe", "Fe", "Fe", "Fe", "Fe", "O", "O", "O", "O", "O", "O", "F", "F", "F", "F", "F", "F"],
  "frac_coords": [[0.000, 0.000, 0.000], [0.001, 0.666, 0.334], [0.043, 0.346, 0.640], [0.450, 0.851, 0.670], [0.545, 0.188, 0.329], [0.548, 0.526, 0.000], [0.207, 0.644, 0.554], [0.317, 0.805, 0.902], [0.330, 0.144, 0.553], [0.710, 0.218, 0.094], [0.821, 0.382, 0.428], [0.823, 0.719, 0.107], [0.206, 0.306, 0.889], [0.217, 0.976, 0.233], [0.315, 0.473, 0.222], [0.714, 0.549, 0.760], [0.714, 0.881, 0.437], [0.824, 0.048, 0.759]]
}

No. 2
{
  "formula": "VBi2O6",
  "functional": "GGA+U",
  "state": "optimized geometry",
  "formation_enthalpy_0k_kj_per_mol_fu": -1580,
  "energy_mp2020_ev_per_cell": -251.72,
  "dft_energy_ry_per_atom": -0.4664,
  "space_group": "P2_1/c",
  "lattice": [[6.983, 0.000, 0.000], [0.000, 7.844, 0.000], [-3.311, 0.000, 10.396]],
  "species": ["V", "V", "V", "V", "Bi", "Bi", "Bi", "Bi", "Bi", "Bi", "Bi", "Bi", "O", "O", "O", "O", "O", "O", "O", "O", "O", "O", "O", "O", "O", "O", "O", "O", "O", "O", "O", "O", "O", "O", "O", "O"],
  "frac_coords": [[0.122, 0.050, 0.334], [0.122, 0.450, 0.834], [0.878, 0.550, 0.166], [0.878, 0.950, 0.666], [0.265, 0.604, 0.486], [0.265, 0.896, 0.986], [0.379, 0.167, 0.662], [0.379, 0.333, 0.162], [0.621, 0.667, 0.838], [0.621, 0.833, 0.338], [0.735, 0.104, 0.014], [0.735, 0.396, 0.514], [0.124, 0.018, 0.727], [0.124, 0.482, 0.227], [0.143, 0.199, 0.457], [0.143, 0.301, 0.957], [0.179, 0.128, 0.198], [0.179, 0.372, 0.698], [0.287, 0.617, 0.902], [0.287, 0.883, 0.402], [0.415, 0.749, 0.655], [0.415, 0.751, 0.155], [0.482, 0.099, 0.091], [0.482, 0.401, 0.591], [0.518, 0.599, 0.409], [0.518, 0.901, 0.909], [0.585, 0.249, 0.845], [0.585, 0.251, 0.345], [0.713, 0.117, 0.598], [0.713, 0.383, 0.098], [0.821, 0.628, 0.302], [0.821, 0.872, 0.802], [0.857, 0.699, 0.043], [0.857, 0.801, 0.543], [0.876, 0.518, 0.773], [0.876, 0.982, 0.273]]
}

No. 3
{
  "formula": "Li3VPCO7",
  "functional": "GGA+U",
  "state": "optimized geometry",
  "formation_enthalpy_0k_kj_per_mol_fu": -3027,
  "e_above_lowest_polymorph_mev_per_atom": 19,
  "energy_mp2020_ev_per_cell": -381.82,
  "dft_energy_ry_per_atom": -0.5029,
  "space_group": "P2_1/c",
  "lattice": [[9.779, 0.000, 0.000], [0.000, 6.513, 0.000], [-4.494, 0.000, 8.561]],
  "species": ["Li", "Li", "Li", "Li", "Li", "Li", "Li", "Li", "Li", "Li", "Li", "Li", "V", "V", "V", "V", "P", "P", "P", "P", "C", "C", "C", "C", "O", "O", "O", "O", "O", "O", "O", "O", "O", "O", "O", "O", "O", "O", "O", "O", "O", "O", "O", "O", "O", "O", "O", "O", "O", "O", "O", "O"],
  "frac_coords": [[0.111, 0.234, 0.188], [0.111, 0.266, 0.688], [0.289, 0.022, 0.519], [0.289, 0.478, 0.019], [0.374, 0.749, 0.821], [0.374, 0.751, 0.321], [0.626, 0.249, 0.679], [0.626, 0.251, 0.179], [0.711, 0.522, 0.981], [0.711, 0.978, 0.481], [0.889, 0.734, 0.312], [0.889, 0.766, 0.812], [0.248, 0.522, 0.486], [0.248, 0.978, 0.986], [0.752, 0.022, 0.014], [0.752, 0.478, 0.514], [0.408, 0.238, 0.313], [0.408, 0.262, 0.813], [0.592, 0.738, 0.187], [0.592, 0.762, 0.687], [0.054, 0.744, 0.143], [0.054, 0.756, 0.643], [0.946, 0.244, 0.357], [0.946, 0.256, 0.857], [0.074, 0.699, 0.282], [0.074, 0.801, 0.782], [0.088, 0.225, 0.968], [0.088, 0.275, 0.468], [0.167, 0.745, 0.611], [0.167, 0.755, 0.111], [0.315, 0.057, 0.329], [0.315, 0.443, 0.829], [0.318, 0.065, 0.813], [0.318, 0.435, 0.313], [0.407, 0.223, 0.151], [0.407, 0.277, 0.651], [0.422, 0.742, 0.057], [0.422, 0.758, 0.557], [0.578, 0.242, 0.443], [0.578, 0.258, 0.943], [0.593, 0.723, 0.349], [0.593, 0.777, 0.849], [0.682, 0.565, 0.687], [0.682, 0.935, 0.187], [0.685, 0.557, 0.171], [0.685, 0.943, 0.671], [0.833, 0.245, 0.889], [0.833, 0.255, 0.389], [0.912, 0.725, 0.532], [0.912, 0.775, 0.032], [0.926, 0.199, 0.218], [0.926, 0.301, 0.718]]
}

No. 4
{
  "formula": "LiVO2F2",
  "functional": "GGA+U",
  "state": "optimized geometry",
  "formation_enthalpy_0k_kj_per_mol_fu": -1514,
  "e_above_lowest_polymorph_mev_per_atom": 102,
  "energy_mp2020_ev_per_cell": -161.62,
  "dft_energy_ry_per_atom": -0.4460,
  "space_group": "P2_1/c",
  "lattice": [[7.552, 0.000, 0.000], [0.000, 5.016, 0.000], [-1.631, 0.000, 7.290]],
  "species": ["Li", "Li", "Li", "Li", "V", "V", "V", "V", "O", "O", "O", "O", "O", "O", "O", "O", "F", "F", "F", "F", "F", "F", "F", "F"],
  "frac_coords": [[0.128, 0.245, 0.365], [0.128, 0.255, 0.865], [0.872, 0.745, 0.135], [0.872, 0.755, 0.635], [0.293, 0.740, 0.684], [0.293, 0.760, 0.184], [0.707, 0.240, 0.816], [0.707, 0.260, 0.316], [0.116, 0.565, 0.203], [0.116, 0.935, 0.703], [0.190, 0.035, 0.095], [0.190, 0.465, 0.595], [0.810, 0.535, 0.405], [0.810, 0.965, 0.905], [0.884, 0.065, 0.297], [0.884, 0.435, 0.797], [0.316, 0.611, 0.945], [0.316, 0.889, 0.445], [0.461, 0.072, 0.784], [0.461, 0.428, 0.284], [0.539, 0.572, 0.716], [0.539, 0.928, 0.216], [0.684, 0.111, 0.555], [0.684, 0.389, 0.055]]
}

No. 5
{
  "formula": "NaCa3AlFe3Si8O24",
  "functional": "GGA+U",
  "state": "optimized geometry",
  "formation_enthalpy_0k_kj_per_mol_fu": -11744,
  "energy_mp2020_ev_per_cell": -640.74,
  "dft_energy_ry_per_atom": -0.5459,
  "space_group": "P2/c",
  "lattice": [[5.349, 0.000, 0.000], [0.000, 17.953, 0.000], [-2.594, 0.000, 9.460]],
  "species": ["Na", "Na", "Ca", "Ca", "Ca", "Ca", "Ca", "Ca", "Al", "Al", "Fe", "Fe", "Fe", "Fe", "Fe", "Fe", "Si", "Si", "Si", "Si", "Si", "Si", "Si", "Si", "Si", "Si", "Si", "Si", "Si", "Si", "Si", "Si", "O", "O", "O", "O", "O", "O", "O", "O", "O", "O", "O", "O", "O", "O", "O", "O", "O", "O", "O", "O", "O", "O", "O", "O", "O", "O", "O", "O", "O", "O", "O", "O", "O", "O", "O", "O", "O", "O", "O", "O", "O", "O", "O", "O", "O", "O", "O", "O"],
  "frac_coords": [[0.000, 0.027, 0.250], [0.000, 0.973, 0.750], [0.000, 0.477, 0.750], [0.000, 0.523, 0.250], [0.500, 0.221, 0.250], [0.500, 0.270, 0.750], [0.500, 0.730, 0.250], [0.500, 0.779, 0.750], [0.500, 0.072, 0.750], [0.500, 0.928, 0.250], [0.000, 0.164, 0.750], [0.000, 0.324, 0.250], [0.000, 0.676, 0.750], [0.000, 0.836, 0.250], [0.500, 0.420, 0.250], [0.500, 0.580, 0.750], [0.195, 0.326, 0.960], [0.195, 0.674, 0.460], [0.201, 0.164, 0.466], [0.201, 0.836, 0.966], [0.303, 0.420, 0.539], [0.303, 0.580, 0.039], [0.309, 0.073, 0.037], [0.309, 0.927, 0.537], [0.691, 0.073, 0.463], [0.691, 0.927, 0.963], [0.697, 0.420, 0.961], [0.697, 0.580, 0.461], [0.799, 0.164, 0.034], [0.799, 0.836, 0.534], [0.805, 0.326, 0.540], [0.805, 0.674, 0.040], [0.097, 0.129, 0.090], [0.097, 0.871, 0.590], [0.099, 0.365, 0.603], [0.099, 0.635, 0.103], [0.208, 0.247, 0.885], [0.208, 0.753, 0.385], [0.211, 0.245, 0.397], [0.211, 0.755, 0.897], [0.214, 0.418, 0.369], [0.214, 0.582, 0.869], [0.249, 0.076, 0.865], [0.249, 0.924, 0.365], [0.281, 0.326, 0.130], [0.281, 0.674, 0.630], [0.289, 0.499, 0.612], [0.289, 0.501, 0.112], [0.301, 0.158, 0.638], [0.301, 0.842, 0.138], [0.303, 0.005, 0.617], [0.303, 0.995, 0.117], [0.402, 0.114, 0.395], [0.402, 0.381, 0.898], [0.402, 0.619, 0.398], [0.402, 0.886, 0.895], [0.598, 0.114, 0.105], [0.598, 0.381, 0.602], [0.598, 0.619, 0.102], [0.598, 0.886, 0.605], [0.697, 0.005, 0.883], [0.697, 0.995, 0.383], [0.699, 0.158, 0.862], [0.699, 0.842, 0.362], [0.711, 0.499, 0.888], [0.711, 0.501, 0.388], [0.719, 0.326, 0.370], [0.719, 0.674, 0.870], [0.751, 0.076, 0.635], [0.751, 0.924, 0.135], [0.786, 0.418, 0.131], [0.786, 0.582, 0.631], [0.789, 0.245, 0.103], [0.789, 0.755, 0.603], [0.792, 0.247, 0.615], [0.792, 0.753, 0.115], [0.901, 0.365, 0.897], [0.901, 0.635, 0.397], [0.903, 0.129, 0.410], [0.903, 0.871, 0.910]]
}

No. 6
{
  "formula": "CrNiP2O8",
  "functional": "GGA+U",
  "state": "optimized geometry",
  "formation_enthalpy_0k_kj_per_mol_fu": -2613,
  "e_above_lowest_polymorph_mev_per_atom": 0,
  "energy_mp2020_ev_per_cell": -185.86,
  "dft_energy_ry_per_atom": -0.5077,
  "space_group": "P2_1/m",
  "lattice": [[4.794, 0.000, 0.000], [0.000, 5.808, 0.000], [-0.177, 0.000, 9.959]],
  "species": ["Cr", "Cr", "Ni", "Ni", "P", "P", "P", "P", "O", "O", "O", "O", "O", "O", "O", "O", "O", "O", "O", "O", "O", "O", "O", "O"],
  "frac_coords": [[0.032, 0.250, 0.276], [0.968, 0.750, 0.724], [0.441, 0.250, 0.777], [0.559, 0.750, 0.223], [0.085, 0.750, 0.407], [0.406, 0.750, 0.902], [0.594, 0.250, 0.098], [0.915, 0.250, 0.593], [0.176, 0.750, 0.555], [0.221, 0.540, 0.333], [0.221, 0.960, 0.333], [0.231, 0.250, 0.607], [0.245, 0.548, 0.827], [0.245, 0.952, 0.827], [0.282, 0.250, 0.124], [0.350, 0.750, 0.051], [0.650, 0.250, 0.949], [0.718, 0.750, 0.876], [0.755, 0.048, 0.173], [0.755, 0.452, 0.173], [0.769, 0.750, 0.393], [0.779, 0.040, 0.667], [0.779, 0.460, 0.667], [0.824, 0.250, 0.445]]
}

No. 7
{
  "formula": "ZnCoP2O7",
  "functional": "GGA+U",
  "state": "optimized geometry",
  "formation_enthalpy_0k_kj_per_mol_fu": -2460,
  "e_above_lowest_polymorph_mev_per_atom": 16,
  "energy_mp2020_ev_per_cell": -317.31,
  "dft_energy_ry_per_atom": -0.4870,
  "space_group": "P1",
  "lattice": [[6.414, 0.000, 0.000], [-1.511, 8.241, 0.000], [-2.940, -0.688, 9.890]],
  "species": ["Zn", "Zn", "Zn", "Zn", "Co", "Co", "Co", "Co", "P", "P", "P", "P", "P", "P", "P", "P", "O", "O", "O", "O", "O", "O", "O", "O", "O", "O", "O", "O", "O", "O", "O", "O", "O", "O", "O", "O", "O", "O", "O", "O", "O", "O", "O", "O"],
  "frac_coords": [[0.000, 0.000, 0.000], [0.195, 0.231, 0.625], [0.502, 0.500, 0.501], [0.697, 0.731, 0.126], [0.028, 0.432, 0.830], [0.169, 0.802, 0.794], [0.520, 0.930, 0.327], [0.670, 0.300, 0.296], [0.025, 0.563, 0.530], [0.062, 0.901, 0.423], [0.135, 0.332, 0.204], [0.172, 0.669, 0.095], [0.524, 0.062, 0.031], [0.562, 0.399, 0.922], [0.635, 0.833, 0.704], [0.672, 0.169, 0.594], [0.009, 0.782, 0.098], [0.019, 0.601, 0.674], [0.075, 0.509, 0.155], [0.085, 0.997, 0.556], [0.112, 0.232, 0.074], [0.120, 0.722, 0.469], [0.179, 0.633, 0.951], [0.190, 0.451, 0.529], [0.234, 0.965, 0.353], [0.288, 0.991, 0.942], [0.321, 0.358, 0.826], [0.376, 0.374, 0.300], [0.409, 0.738, 0.186], [0.465, 0.776, 0.777], [0.506, 0.281, 0.595], [0.517, 0.100, 0.175], [0.579, 0.010, 0.656], [0.585, 0.499, 0.052], [0.613, 0.732, 0.575], [0.620, 0.222, 0.970], [0.679, 0.131, 0.450], [0.690, 0.950, 0.031], [0.732, 0.457, 0.849], [0.789, 0.491, 0.441], [0.822, 0.861, 0.327], [0.876, 0.874, 0.801], [0.909, 0.242, 0.683], [0.965, 0.273, 0.277]]
}

No. 8
{
  "formula": "LiMnBO3",
  "functional": "GGA+U",
  "state": "optimized geometry",
  "formation_enthalpy_0k_kj_per_mol_fu": -1411,
  "e_above_lowest_polymorph_mev_per_atom": 76,
  "energy_mp2020_ev_per_cell": -377.78,
  "dft_energy_ry_per_atom": -0.5328,
  "space_group": "Pbca",
  "lattice": [[5.833, 0.000, 0.000], [0.000, 13.028, 0.000], [0.000, 0.000, 6.022]],
  "species": ["Li", "Li", "Li", "Li", "Li", "Li", "Li", "Li", "Mn", "Mn", "Mn", "Mn", "Mn", "Mn", "Mn", "Mn", "B", "B", "B", "B", "B", "B", "B", "B", "O", "O", "O", "O", "O", "O", "O", "O", "O", "O", "O", "O", "O", "O", "O", "O", "O", "O", "O", "O", "O", "O", "O", "O"],
  "frac_coords": [[0.012, 0.247, 0.218], [0.012, 0.253, 0.718], [0.488, 0.747, 0.218], [0.488, 0.753, 0.718], [0.512, 0.247, 0.282], [0.512, 0.253, 0.782], [0.988, 0.747, 0.282], [0.988, 0.753, 0.782], [0.249, 0.567, 0.491], [0.249, 0.933, 0.991], [0.251, 0.067, 0.491], [0.251, 0.433, 0.991], [0.749, 0.567, 0.009], [0.749, 0.933, 0.509], [0.751, 0.067, 0.009], [0.751, 0.433, 0.509], [0.248, 0.646, 0.985], [0.248, 0.854, 0.485], [0.252, 0.146, 0.985], [0.252, 0.354, 0.485], [0.748, 0.646, 0.515], [0.748, 0.854, 0.015], [0.752, 0.146, 0.515], [0.752, 0.354, 0.015], [0.090, 0.592, 0.857], [0.090, 0.908, 0.357], [0.108, 0.091, 0.128], [0.108, 0.409, 0.628], [0.237, 0.249, 0.471], [0.237, 0.251, 0.971], [0.263, 0.749, 0.471], [0.263, 0.751, 0.971], [0.392, 0.591, 0.128], [0.392, 0.909, 0.628], [0.410, 0.092, 0.857], [0.410, 0.408, 0.357], [0.590, 0.592, 0.643], [0.590, 0.908, 0.143], [0.608, 0.091, 0.372], [0.608, 0.409, 0.872], [0.737, 0.249, 0.029], [0.737, 0.251, 0.529], [0.763, 0.749, 0.029], [0.763, 0.751, 0.529], [0.892, 0.591, 0.372], [0.892, 0.909, 0.872], [0.910, 0.092, 0.643], [0.910, 0.408, 0.143]]
}